This record from Materials Project describes a relaxed MnN2Cl4 crystal. The functional is PBE.

abc: 4.7755 4.7755 15.2186
angles: 90.00 90.00 90.00
Space group I4/mmm (No. 139)
Asymmetric unit:
1 Mn 0.0000 0.0000 0.0000
2 N 0.0000 0.0000 0.3525
3 Cl 0.0000 0.0000 0.1445
4 Cl 0.0000 0.5000 0.0000

***

This record from Materials Project describes a relaxed BaRuO5 crystal. The functional is PBE.

abc: 9.8122 9.8122 26.5608
angles: 90.00 90.00 120.00
Space group R-3c (No. 167, hexagonal axes)
Asymmetric unit:
1 Ba 0.0000 0.0000 0.0000
2 Ba 0.0000 0.0000 0.1618
3 Ru 0.0000 0.3497 0.2500
4 O 0.0000 0.1678 0.2500
5 O 0.0044 0.4378 0.3093
6 O 0.0857 0.2030 0.9175

***

This record from Materials Project describes a relaxed AgI crystal. The functional is PBE.

The maximum piezoelectric response is 0.2 C/m2.

abc: 6.6409 6.6409 6.6409
angles: 90.00 90.00 90.00
Space group F-43m (No. 216)
Asymmetric unit:
1 Ag 0.0000 0.0000 0.0000
2 I 0.2500 0.2500 0.7500

***

This record from Materials Project describes a relaxed SiO2 crystal. The functional is PBE.

abc: 12.7469 12.7469 3.7751
angles: 90.00 90.00 120.00
Space group P622 (No. 177)
Asymmetric unit:
1 Si 0.1419 0.4553 0.3454
2 O 0.0000 0.3861 0.5000
3 O 0.1790 0.3579 0.5000
4 O 0.1831 0.5916 0.5000
5 O 0.2456 0.4912 0.0000

***

This record from Materials Project describes a relaxed TaVCu6Se8 crystal. The functional is PBE.

abc: 7.9983 7.9983 5.6556
angles: 90.00 90.00 90.00
Space group P-4m2 (No. 115)
Asymmetric unit:
1 Ta 0.0000 0.0000 0.0000
2 V 0.5000 0.5000 0.0000
3 Cu 0.0000 0.0000 0.5000
4 Cu 0.2521 0.2521 0.0000
5 Cu 0.5000 0.5000 0.5000
6 Se 0.0000 0.2516 0.7488
7 Se 0.2586 0.5000 0.2417

***

This record from Materials Project describes a relaxed K5AgN2O2 crystal. The functional is PBE.

abc: 5.2445 13.9030 6.9255
angles: 90.00 90.04 90.00
Space group P2_1 (No. 4)
Asymmetric unit:
1 K 0.0004 0.0000 0.0303
2 K 0.0034 0.2421 0.4804
3 K 0.4679 0.1251 0.7520
4 K 0.4853 0.8355 0.9122
5 K 0.4884 0.4043 0.5981
6 Ag 0.4963 0.6213 0.7496
7 N 0.0133 0.9786 0.5973
8 N 0.0287 0.2780 0.8912
9 O 0.4947 0.7384 0.5696
10 O 0.4989 0.5058 0.9335

***

E (MP2020) for every record listed, in sequence, given in eV per cell: -56.617; -871.962; -21.191; -272.936; -85.280; -72.438.
Formation energy from the elements for every record listed, in sequence, given in meV per atom: 703; -1787; -471; -2474; -736; -127.